Version A
A relaxed structure of Cs2PtF6, computed with GGA-PBE.

a = 6.3466 Å, b = 6.3466 Å, c = 5.1969 Å
α = 90.00°, β = 90.00°, γ = 120.00°
Last column: nearest neighbours and their distance in Å.
Space group P-3m1 (No. 164)
Asymmetric unit:
Cs: 0.3333 0.6667 0.2089 (multiplicity 2)  12 F 3.21-3.28
Pt: 0.0000 0.0000 0.5000 (multiplicity 1)  6 F 1.98
F: 0.1508 0.3015 0.7093 (multiplicity 6)  1 Pt 1.98


Version B
A relaxed structure of Cs2PtF6, computed with GGA-PBE.

a = 9.2496 Å, b = 9.2496 Å, c = 9.2496 Å
α = 90.00°, β = 90.00°, γ = 90.00°
Last column: nearest neighbours and their distance in Å.
Space group Fm-3m (No. 225)
Asymmetric unit:
Cs: 0.2500 0.2500 0.2500 (multiplicity 8)  12 F 3.29
Pt: 0.0000 0.0000 0.0000 (multiplicity 4)  6 F 1.98
F: 0.0000 0.0000 0.2140 (multiplicity 24)  1 Pt 1.98


Most stable to least stable: version B, version A


Version A
A relaxed structure of CsMg14Fe, computed with GGA-PBE.

a = 10.6246 Å, b = 6.3429 Å, c = 11.5708 Å
α = 90.00°, β = 90.00°, γ = 90.00°
Last column: nearest neighbours and their distance in Å.
Space group Amm2 (No. 38)
Asymmetric unit:
Cs: 0.0000 0.0000 0.0000 (multiplicity 2)  10 Mg 3.23-3.50, 2 Fe 3.28
Mg: 0.0000 0.2493 0.2439 (multiplicity 4)  1 Fe 2.64
Mg: 0.2197 0.0000 0.6100 (multiplicity 4)  1 Fe 3.15, 9 Mg 3.18-3.46
Mg: 0.2529 0.2382 0.3704 (multiplicity 8)  8 Mg 3.02-3.32, 1 Fe 3.15
Mg: 0.2817 0.0000 0.1302 (multiplicity 4)  7 Mg 3.00-3.25, 1 Cs 3.35
Mg: 0.5000 0.0000 0.4607 (multiplicity 2)  12 Mg 3.17-3.44
Mg: 0.5000 0.0000 0.9553 (multiplicity 2)  12 Mg 3.08-3.40
Mg: 0.5000 0.2420 0.7130 (multiplicity 4)  9 Mg 3.00-3.30
Fe: 0.0000 0.0000 0.4267 (multiplicity 2)  2 Mg 2.64

Calculated values
Magnetic moment: 0.05 Bohr magnetons per cell


Version B
A relaxed structure of CsMg14Fe, computed with GGA-PBE.

a = 6.4571 Å, b = 6.4571 Å, c = 10.6995 Å
α = 90.00°, β = 90.00°, γ = 120.00°
Last column: nearest neighbours and their distance in Å.
Space group P-6m2 (No. 187)
Asymmetric unit:
Cs: 0.0000 0.0000 0.0000 (multiplicity 1)  12 Mg 3.23-3.54
Mg: 0.0066 0.5033 0.0000 (multiplicity 3)  10 Mg 3.16-3.53, 2 Cs 3.23
Mg: 0.1662 0.3323 0.2816 (multiplicity 6)  1 Fe 2.99, 8 Mg 3.01-3.26
Mg: 0.5050 0.0100 0.5000 (multiplicity 3)  10 Mg 3.01-3.33, 2 Fe 3.23
Mg: 0.6667 0.3333 0.2424 (multiplicity 2)  12 Mg 3.22-3.30
Fe: 0.0000 0.0000 0.5000 (multiplicity 1)  12 Mg 2.99-3.23

Calculated values
Magnetic moment: 2.68 Bohr magnetons per cell


Most stable to least stable: version B, version A


Version A
A relaxed structure of CsMg6Ga, computed with GGA-PBE.

a = 4.8001 Å, b = 8.0732 Å, c = 11.9988 Å
α = 90.00°, β = 90.00°, γ = 90.00°
Last column: nearest neighbours and their distance in Å.
Space group Amm2 (No. 38)
Asymmetric unit:
Cs: 0.0000 0.0000 0.0000 (multiplicity 2)  8 Mg 3.58-3.68, 2 Ga 3.72
Mg: 0.0000 0.0000 0.4343 (multiplicity 2)  6 Mg 3.06-3.11
Mg: 0.0000 0.2006 0.7308 (multiplicity 4)  2 Ga 2.92, 3 Mg 3.24-3.26
Mg: 0.5000 0.0000 0.2766 (multiplicity 2)  2 Mg 3.06
Mg: 0.5000 0.1791 0.5473 (multiplicity 4)  3 Mg 2.89-3.11, 1 Ga 2.96
Ga: 0.5000 0.0000 0.7628 (multiplicity 2)  6 Mg 2.92-2.96

Calculated values
Magnetic moment: 0.00 Bohr magnetons per cell


Version B
A relaxed structure of CsMg6Ga, computed with GGA-PBE.

a = 4.9421 Å, b = 6.2867 Å, c = 17.6708 Å
α = 90.00°, β = 90.00°, γ = 90.00°
Last column: nearest neighbours and their distance in Å.
Space group Amm2 (No. 38)
Asymmetric unit:
Cs: 0.0000 0.0000 0.0000 (multiplicity 2)  8 Mg 4.06-4.30, 2 Ga 4.07
Mg: 0.0000 0.2403 0.7253 (multiplicity 4)  1 Ga 2.80, 5 Mg 3.02-3.06
Mg: 0.5000 0.0000 0.1824 (multiplicity 2)  8 Mg 3.06-3.17
Mg: 0.5000 0.0000 0.6710 (multiplicity 2)  8 Mg 3.05-3.35
Mg: 0.5000 0.2497 0.3383 (multiplicity 4)  2 Ga 2.94, 5 Mg 3.14-3.18
Ga: 0.0000 0.0000 0.3539 (multiplicity 2)  6 Mg 2.80-2.94

Calculated values
Magnetic moment: 0.01 Bohr magnetons per cell


Most stable to least stable: version B, version A


Version A
A relaxed structure of CsMg14GaO16, computed with GGA-PBE.

a = 8.8193 Å, b = 8.8193 Å, c = 4.4528 Å
α = 90.00°, β = 90.00°, γ = 90.00°
Last column: nearest neighbours and their distance in Å.
Space group P4/mmm (No. 123)
Asymmetric unit:
Cs: 0.0000 0.0000 0.0000 (multiplicity 1)  2 O 2.23
Mg: 0.0000 0.2633 0.5000 (multiplicity 4)  6 O 2.09-2.32
Mg: 0.0000 0.5000 0.0000 (multiplicity 2)  2 O 1.88
Mg: 0.2499 0.5000 0.5000 (multiplicity 4)  6 O 2.20-2.23
Mg: 0.2526 0.2526 0.0000 (multiplicity 4)  6 O 2.18-2.25
Ga: 0.5000 0.5000 0.0000 (multiplicity 1)  6 O 2.07-2.23
O: 0.0000 0.0000 0.5000 (multiplicity 1)  2 Cs 2.23, 4 Mg 2.32
O: 0.0000 0.2871 0.0000 (multiplicity 4)  1 Mg 1.88
O: 0.0000 0.5000 0.5000 (multiplicity 2)  6 Mg 2.09-2.23
O: 0.2511 0.2511 0.5000 (multiplicity 4)  6 Mg 2.20-2.23
O: 0.2648 0.5000 0.0000 (multiplicity 4)  1 Ga 2.07, 4 Mg 2.18-2.23
O: 0.5000 0.5000 0.5000 (multiplicity 1)  4 Mg 2.21, 2 Ga 2.23

Calculated values
Magnetic moment: 0.26 Bohr magnetons per cell


Version B
A relaxed structure of CsMg14GaO16, computed with GGA-PBE.

a = 4.5533 Å, b = 8.6224 Å, c = 8.8401 Å
α = 90.00°, β = 90.00°, γ = 90.00°
Last column: nearest neighbours and their distance in Å.
Space group Pmmm (No. 47)
Asymmetric unit:
Cs: 0.0000 0.0000 0.0000 (multiplicity 1)  6 O 2.28-2.53
Mg: 0.0000 0.0000 0.5000 (multiplicity 1)  2 O 1.89
Mg: 0.0000 0.2513 0.2619 (multiplicity 4)  6 O 2.11-2.34
Mg: 0.0000 0.5000 0.5000 (multiplicity 1)  6 O 2.07-2.28
Mg: 0.5000 0.0000 0.2611 (multiplicity 2)  6 O 2.11-2.31
Mg: 0.5000 0.2509 0.5000 (multiplicity 2)  6 O 2.15-2.28
Mg: 0.5000 0.2547 0.0000 (multiplicity 2)  6 O 2.11-2.30
Mg: 0.5000 0.5000 0.2535 (multiplicity 2)  6 O 2.15-2.28
Ga: 0.0000 0.5000 0.0000 (multiplicity 1)  2 O 1.79
O: 0.0000 0.0000 0.2867 (multiplicity 2)  1 Mg 1.89
O: 0.0000 0.2604 0.5000 (multiplicity 2)  6 Mg 2.07-2.28
O: 0.0000 0.2923 0.0000 (multiplicity 2)  1 Ga 1.79
O: 0.0000 0.5000 0.2538 (multiplicity 2)  5 Mg 2.15-2.28, 1 Ga 2.24
O: 0.5000 0.0000 0.0000 (multiplicity 1)  4 Mg 2.20-2.31, 2 Cs 2.28
O: 0.5000 0.0000 0.5000 (multiplicity 1)  6 Mg 2.11-2.28
O: 0.5000 0.2509 0.2493 (multiplicity 4)  6 Mg 2.15-2.28
O: 0.5000 0.5000 0.0000 (multiplicity 1)  4 Mg 2.11-2.24, 2 Ga 2.28
O: 0.5000 0.5000 0.5000 (multiplicity 1)  6 Mg 2.15-2.28

Calculated values
Magnetic moment: 0.00 Bohr magnetons per cell


Most stable to least stable: version B, version A


Version A
A relaxed structure of Cs3GaO3, computed with GGA-PBE.

a = 7.8650 Å, b = 12.4343 Å, c = 7.3565 Å
α = 90.00°, β = 106.07°, γ = 90.00°
Last column: nearest neighbours and their distance in Å.
Space group C2/m (No. 12)
Asymmetric unit:
Cs: 0.0000 0.2028 0.0000 (multiplicity 4)  4 O 3.01-3.29
Cs: 0.0000 0.2533 0.5000 (multiplicity 4)  2 O 2.95
Cs: 0.1256 0.5000 0.8355 (multiplicity 4)  5 O 3.00-3.23
Ga: 0.1594 0.0000 0.6484 (multiplicity 4)  4 O 1.87-1.97
O: 0.0942 0.0000 0.3696 (multiplicity 4)  2 Ga 1.96-1.97
O: 0.2237 0.3759 0.2375 (multiplicity 8)  1 Ga 1.87


Version B
A relaxed structure of Cs3GaO3, computed with GGA-PBE.

a = 9.3301 Å, b = 9.3301 Å, c = 9.3301 Å
α = 90.00°, β = 90.00°, γ = 90.00°
Last column: nearest neighbours and their distance in Å.
Space group P2_13 (No. 198)
Asymmetric unit:
Cs: 0.0101 0.0101 0.0101 (multiplicity 4)  3 O 2.94
Cs: 0.2222 0.2778 0.7222 (multiplicity 4)  6 O 3.14-3.33
Cs: 0.2450 0.7450 0.7550 (multiplicity 4)  3 O 2.90
Ga: 0.0352 0.5352 0.9648 (multiplicity 4)  3 O 1.82
O: 0.0142 0.1997 0.4436 (multiplicity 12)  1 Ga 1.82

Calculated values
Magnetic moment: 0.00 Bohr magnetons per cell


Most stable to least stable: version A, version B


Version A
A relaxed structure of CsGe, computed with GGA-PBE.

a = 11.7227 Å, b = 11.7227 Å, c = 19.0420 Å
α = 90.00°, β = 90.00°, γ = 90.00°
Last column: nearest neighbours and their distance in Å.
Space group I4_1/acd (No. 142, origin choice 2)
Asymmetric unit:
Cs: 0.1197 0.1303 0.1250 (multiplicity 16)  6 Ge 3.91-4.02, 5 Cs 3.97-4.17
Cs: 0.1415 0.0000 0.7500 (multiplicity 16)  8 Ge 3.88-4.08, 4 Cs 3.98-4.17
Ge: 0.0569 0.1533 0.9237 (multiplicity 32)  3 Ge 2.63


Version B
A relaxed structure of CsGe, computed with GGA-PBE.

a = 13.9358 Å, b = 13.9358 Å, c = 13.9358 Å
α = 90.00°, β = 90.00°, γ = 90.00°
Last column: nearest neighbours and their distance in Å.
Space group P-43n (No. 218)
Asymmetric unit:
Cs: 0.0671 0.1390 0.3383 (multiplicity 24)  6 Ge 3.64-4.04, 1 Cs 4.05
Cs: 0.1654 0.1654 0.8346 (multiplicity 8)  6 Ge 3.77-4.03, 3 Cs 4.05
Ge: 0.0613 0.4282 0.3150 (multiplicity 24)  3 Ge 2.60-2.63
Ge: 0.0662 0.0662 0.0662 (multiplicity 8)  3 Ge 2.61

Calculated values
Magnetic moment: 0.00 Bohr magnetons per cell


Most stable to least stable: version B, version A


Version A
A relaxed structure of CsH5N2, computed with GGA-PBE.

a = 8.5837 Å, b = 5.2371 Å, c = 10.2088 Å
α = 90.00°, β = 90.00°, γ = 90.00°
Last column: nearest neighbours and their distance in Å.
Space group Pnma (No. 62)
Asymmetric unit:
Cs: 0.2424 0.2500 0.0767 (multiplicity 4)  8 H 3.03-3.35, 1 N 3.08
H: 0.0667 0.5885 0.2850 (multiplicity 8)  1 N 1.05
H: 0.0895 0.2500 0.7618 (multiplicity 4)  1 N 1.03
H: 0.1085 0.2500 0.4635 (multiplicity 4)  1 N 1.03
H: 0.2390 0.7500 0.8727 (multiplicity 4)  1 N 1.03
N: 0.0300 0.7500 0.2328 (multiplicity 4)  3 H 1.03-1.05
N: 0.1414 0.2500 0.3664 (multiplicity 4)  2 H 1.03


Version B
A relaxed structure of CsH5N2, computed with GGA-PBE.

a = 7.0487 Å, b = 5.7324 Å, c = 10.2828 Å
α = 90.00°, β = 90.00°, γ = 90.00°
Last column: nearest neighbours and their distance in Å.
Space group Pnma (No. 62)
Asymmetric unit:
Cs: 0.2047 0.2500 0.0838 (multiplicity 4)  7 H 2.92-3.25, 2 N 2.96-3.09
H: 0.0947 0.6004 0.3116 (multiplicity 8)  1 N 1.05
H: 0.1123 0.2500 0.4789 (multiplicity 4)  1 N 1.03
H: 0.2331 0.2500 0.7470 (multiplicity 4)  1 N 1.03
H: 0.2342 0.7500 0.8643 (multiplicity 4)  1 N 1.03
N: 0.1207 0.2500 0.3788 (multiplicity 4)  2 H 1.03
N: 0.1215 0.7500 0.2563 (multiplicity 4)  3 H 1.03-1.05

Calculated values
Magnetic moment: 0.00 Bohr magnetons per cell


Most stable to least stable: version A, version B